No. 1
First-principles (PBE) data for Na5La3Si3SnS3O24 after structural relaxation, as listed in the Materials Project database.

Cell lengths 9.498, 9.543, 23.657 Å; angles 89.74, 88.78, 60.26 degrees
Positions (direct):
Na  0.000  0.000  0.000
Na  0.003  0.043  0.506
Na  0.006  0.322  0.572
Na  0.302  0.027  0.429
Na  0.314  0.726  0.933
Na  0.319  0.050  0.073
Na  0.353  0.377  0.161
Na  0.366  0.367  0.667
Na  0.374  0.036  0.745
Na  0.632  0.346  0.089
Na  0.635  0.063  0.602
Na  0.664  0.004  0.912
Na  0.699  0.365  0.414
Na  0.704  0.706  0.840
Na  0.719  0.626  0.325
La  0.301  0.378  0.013
La  0.309  0.371  0.819
La  0.314  0.370  0.517
La  0.318  0.368  0.306
La  0.650  0.700  0.681
La  0.650  0.702  0.183
La  0.654  0.687  0.489
La  0.976  0.036  0.852
La  0.977  0.047  0.344
Si  0.011  0.369  0.419
Si  0.326  0.047  0.919
Si  0.332  0.010  0.584
Si  0.346  0.718  0.081
Si  0.658  0.007  0.080
Si  0.663  0.375  0.581
Si  0.677  0.044  0.747
Si  0.688  0.326  0.244
Si  0.998  0.677  0.918
Sn  0.639  0.736  0.984
Sn  0.973  0.043  0.648
Sn  0.976  0.030  0.142
S  0.263  0.744  0.743
S  0.273  0.047  0.241
S  0.326  0.676  0.414
S  0.618  0.059  0.416
S  0.618  0.395  0.921
S  0.939  0.388  0.080
S  0.958  0.723  0.584
S  0.997  0.737  0.241
S  0.998  0.321  0.741
O  0.009  0.817  0.293
O  0.077  0.574  0.859
O  0.090  0.367  0.481
O  0.113  0.344  0.076
O  0.123  0.584  0.579
O  0.132  0.363  0.367
O  0.135  0.605  0.966
O  0.140  0.572  0.236
O  0.154  0.019  0.595
O  0.155  0.323  0.739
O  0.162  0.845  0.695
O  0.171  0.897  0.088
O  0.180  0.003  0.916
O  0.181  0.035  0.192
O  0.186  0.818  0.798
O  0.186  0.844  0.413
O  0.193  0.051  0.296
O  0.281  0.199  0.234
O  0.287  0.580  0.737
O  0.291  0.200  0.581
O  0.316  0.145  0.977
O  0.320  0.595  0.466
O  0.323  0.561  0.074
O  0.330  0.582  0.364
O  0.346  0.143  0.863
O  0.407  0.915  0.523
O  0.420  0.743  0.740
O  0.432  0.754  0.023
O  0.438  0.906  0.243
O  0.465  0.925  0.634
O  0.468  0.680  0.132
O  0.479  0.687  0.412
O  0.494  0.202  0.742
O  0.502  0.193  0.079
O  0.504  0.871  0.918
O  0.508  0.345  0.237
O  0.510  0.341  0.584
O  0.511  0.413  0.873
O  0.522  0.158  0.368
O  0.543  0.147  0.470
O  0.550  0.366  0.974
O  0.618  0.903  0.416
O  0.621  0.549  0.925
O  0.635  0.908  0.131
O  0.657  0.881  0.747
O  0.659  0.495  0.631
O  0.672  0.912  0.019
O  0.684  0.499  0.246
O  0.690  0.444  0.520
O  0.760  0.241  0.306
O  0.763  0.052  0.805
O  0.783  0.257  0.912
O  0.785  0.042  0.688
O  0.786  0.033  0.413
O  0.805  0.208  0.189
O  0.825  0.524  0.413
O  0.826  0.024  0.083
O  0.828  0.669  0.929
O  0.832  0.195  0.587
O  0.843  0.482  0.031
O  0.846  0.728  0.245
O  0.858  0.744  0.534
O  0.859  0.487  0.742
O  0.872  0.471  0.134
O  0.880  0.704  0.636
O  0.936  0.229  0.079
O  0.943  0.870  0.914
O  0.968  0.875  0.587
O  0.992  0.234  0.791
O  0.998  0.200  0.418
O  0.999  0.232  0.688
O  0.999  0.828  0.189

Summary:
The calculation puts the volume at 1861.2 Å³ per cell. For the energy of formation from the pure elements, the calculation gives -2.68 eV/atom.

No. 2
First-principles (PBE) data for Na2La4Si3Sn4S9O48 after structural relaxation, as listed in the Materials Project database.

Cell lengths 9.202, 15.874, 24.350 Å; angles 90.80, 90.19, 90.14 degrees
Positions (direct):
Na  0.000  0.000  0.000
Na  0.005  0.990  0.494
Na  0.487  0.494  0.989
Na  0.494  0.501  0.501
Na  0.518  0.168  0.325
Na  0.977  0.668  0.821
La  0.001  0.018  0.839
La  0.002  0.683  0.977
La  0.009  0.344  0.016
La  0.014  0.335  0.525
La  0.481  0.834  0.024
La  0.490  0.518  0.342
La  0.493  0.182  0.479
La  0.496  0.843  0.519
La  0.501  0.496  0.841
La  0.509  0.173  0.180
La  0.981  0.677  0.678
La  0.995  0.996  0.343
Si  0.124  0.828  0.084
Si  0.147  0.154  0.737
Si  0.205  0.834  0.412
Si  0.293  0.337  0.911
Si  0.345  0.659  0.240
Si  0.372  0.328  0.584
Si  0.635  0.655  0.745
Si  0.863  0.155  0.245
Si  0.866  0.829  0.577
Sn  0.005  0.688  0.474
Sn  0.009  0.679  0.180
Sn  0.021  0.329  0.804
Sn  0.479  0.830  0.309
Sn  0.486  0.177  0.679
Sn  0.488  0.178  0.969
Sn  0.497  0.510  0.646
Sn  0.497  0.513  0.150
Sn  0.503  0.838  0.802
Sn  0.992  0.338  0.305
Sn  0.995  0.005  0.645
Sn  0.997  0.008  0.148
S  0.129  0.489  0.411
S  0.145  0.198  0.404
S  0.158  0.531  0.084
S  0.160  0.861  0.745
S  0.196  0.498  0.743
S  0.203  0.161  0.075
S  0.289  0.661  0.575
S  0.298  0.998  0.243
S  0.335  0.361  0.244
S  0.337  0.032  0.584
S  0.351  0.698  0.904
S  0.364  0.986  0.909
S  0.629  0.328  0.074
S  0.632  0.983  0.404
S  0.658  0.351  0.738
S  0.661  0.696  0.411
S  0.663  0.032  0.072
S  0.690  0.007  0.738
S  0.709  0.661  0.084
S  0.712  0.338  0.405
S  0.782  0.839  0.905
S  0.786  0.162  0.584
S  0.805  0.508  0.239
S  0.833  0.533  0.571
S  0.837  0.196  0.911
S  0.837  0.852  0.239
S  0.862  0.483  0.904
O  0.050  0.923  0.093
O  0.052  0.794  0.026
O  0.058  0.573  0.418
O  0.063  0.105  0.685
O  0.064  0.246  0.746
O  0.071  0.450  0.357
O  0.079  0.114  0.401
O  0.090  0.764  0.133
O  0.092  0.448  0.082
O  0.093  0.899  0.794
O  0.095  0.239  0.455
O  0.095  0.577  0.131
O  0.098  0.916  0.409
O  0.101  0.572  0.737
O  0.102  0.435  0.458
O  0.104  0.421  0.748
O  0.105  0.249  0.355
O  0.107  0.234  0.069
O  0.109  0.774  0.739
O  0.112  0.083  0.080
O  0.113  0.744  0.416
O  0.127  0.101  0.793
O  0.127  0.911  0.695
O  0.136  0.578  0.032
O  0.170  0.665  0.231
O  0.174  0.360  0.251
O  0.177  0.025  0.590
O  0.189  0.691  0.904
O  0.191  0.325  0.854
O  0.195  0.348  0.965
O  0.195  0.648  0.524
O  0.198  0.338  0.578
O  0.203  0.671  0.624
O  0.204  0.998  0.905
O  0.205  0.986  0.193
O  0.210  0.012  0.292
O  0.283  0.511  0.792
O  0.290  0.486  0.693
O  0.290  0.500  0.405
O  0.294  0.173  0.124
O  0.296  0.150  0.024
O  0.297  0.838  0.078
O  0.297  0.855  0.466
O  0.305  0.822  0.355
O  0.306  0.191  0.404
O  0.321  0.164  0.728
O  0.321  0.522  0.090
O  0.323  0.862  0.751
O  0.361  0.079  0.532
O  0.367  0.411  0.193
O  0.367  0.601  0.293
O  0.382  0.583  0.579
O  0.384  0.733  0.568
O  0.388  0.248  0.916
O  0.390  0.274  0.237
O  0.390  0.750  0.855
O  0.391  0.922  0.249
O  0.392  0.073  0.237
O  0.395  0.935  0.957
O  0.401  0.417  0.910
O  0.401  0.739  0.955
O  0.401  0.948  0.581
O  0.406  0.076  0.631
O  0.406  0.264  0.633
O  0.406  0.398  0.293
O  0.416  0.614  0.901
O  0.421  0.947  0.857
O  0.428  0.616  0.186
O  0.430  0.750  0.249
O  0.437  0.071  0.915
O  0.443  0.295  0.526
O  0.446  0.423  0.593
O  0.553  0.749  0.749
O  0.555  0.414  0.080
O  0.562  0.068  0.403
O  0.564  0.286  0.024
O  0.564  0.608  0.688
O  0.582  0.381  0.788
O  0.583  0.935  0.352
O  0.595  0.736  0.459
O  0.595  0.931  0.747
O  0.597  0.080  0.725
O  0.598  0.939  0.454
O  0.599  0.069  0.122
O  0.600  0.609  0.406
O  0.601  0.279  0.124
O  0.603  0.264  0.727
O  0.604  0.599  0.798
O  0.604  0.947  0.065
O  0.613  0.583  0.089
O  0.616  0.736  0.081
O  0.617  0.413  0.401
O  0.621  0.260  0.404
O  0.628  0.408  0.691
O  0.631  0.085  0.023
O  0.631  0.743  0.359
O  0.671  0.528  0.577
O  0.674  0.188  0.916
O  0.679  0.847  0.248
O  0.687  0.170  0.632
O  0.687  0.835  0.854
O  0.689  0.170  0.238
O  0.695  0.843  0.955
O  0.696  0.843  0.568
O  0.703  0.494  0.903
O  0.705  0.148  0.532
O  0.707  0.486  0.190
O  0.718  0.526  0.287
O  0.774  0.025  0.788
O  0.785  0.339  0.068
O  0.789  0.647  0.032
O  0.789  0.987  0.691
O  0.791  0.993  0.402
O  0.799  0.343  0.455
O  0.805  0.333  0.354
O  0.807  0.668  0.132
O  0.808  0.670  0.741
O  0.818  0.347  0.748
O  0.822  0.688  0.417
O  0.824  0.027  0.079
O  0.866  0.243  0.860
O  0.867  0.908  0.191
O  0.868  0.586  0.523
O  0.872  0.761  0.904
O  0.877  0.238  0.581
O  0.877  0.914  0.902
O  0.881  0.086  0.590
O  0.887  0.776  0.631
O  0.888  0.447  0.563
O  0.889  0.098  0.298
O  0.892  0.765  0.226
O  0.896  0.581  0.225
O  0.897  0.109  0.907
O  0.897  0.438  0.955
O  0.897  0.566  0.622
O  0.898  0.237  0.960
O  0.899  0.432  0.247
O  0.911  0.435  0.854
O  0.916  0.882  0.287
O  0.930  0.108  0.188
O  0.933  0.568  0.905
O  0.940  0.784  0.521
O  0.942  0.250  0.249
O  0.948  0.924  0.585

Summary:
The calculation puts the volume at 3556.6 Å³ per cell. For the energy of formation from the pure elements, the calculation gives -2.36 eV/atom.

No. 3
First-principles (PBE) data for NaLaSiSnS2O12 after structural relaxation, as listed in the Materials Project database.

Cell lengths 9.284, 9.284, 23.746 Å; angles 91.12, 91.12, 59.72 degrees
Positions (direct):
Na  0.015  0.985  0.500
Na  0.271  0.351  0.166
Na  0.351  0.271  0.666
Na  0.619  0.687  0.834
Na  0.687  0.619  0.334
Na  0.985  0.015  0.000
La  0.291  0.319  0.314
La  0.319  0.291  0.814
La  0.644  0.644  0.481
La  0.644  0.644  0.981
La  0.980  0.980  0.148
La  0.980  0.980  0.648
Si  0.015  0.290  0.417
Si  0.290  0.015  0.917
Si  0.355  0.950  0.585
Si  0.700  0.957  0.753
Si  0.950  0.355  0.085
Si  0.957  0.700  0.253
Sn  0.291  0.300  0.021
Sn  0.300  0.291  0.521
Sn  0.636  0.668  0.689
Sn  0.668  0.636  0.189
Sn  0.975  0.976  0.855
Sn  0.976  0.975  0.355
S  0.030  0.617  0.921
S  0.283  0.617  0.423
S  0.289  0.691  0.755
S  0.298  0.944  0.254
S  0.365  0.614  0.088
S  0.614  0.365  0.588
S  0.615  0.959  0.089
S  0.617  0.030  0.421
S  0.617  0.283  0.923
S  0.691  0.289  0.255
S  0.944  0.298  0.754
S  0.959  0.615  0.589
O  0.013  0.110  0.412
O  0.016  0.786  0.920
O  0.076  0.341  0.759
O  0.105  0.309  0.364
O  0.110  0.013  0.912
O  0.113  0.521  0.871
O  0.116  0.513  0.253
O  0.122  0.782  0.421
O  0.128  0.268  0.477
O  0.128  0.459  0.586
O  0.129  0.535  0.974
O  0.133  0.350  0.084
O  0.166  0.984  0.587
O  0.192  0.754  0.092
O  0.195  0.769  0.704
O  0.196  0.975  0.203
O  0.207  0.796  0.807
O  0.213  0.934  0.306
O  0.268  0.128  0.977
O  0.275  0.529  0.475
O  0.304  0.521  0.372
O  0.309  0.105  0.864
O  0.313  0.523  0.760
O  0.341  0.076  0.259
O  0.350  0.133  0.584
O  0.362  0.453  0.083
O  0.422  0.651  0.427
O  0.441  0.636  0.038
O  0.444  0.826  0.920
O  0.447  0.845  0.530
O  0.453  0.362  0.583
O  0.458  0.777  0.249
O  0.459  0.128  0.086
O  0.459  0.678  0.753
O  0.462  0.604  0.141
O  0.463  0.858  0.645
O  0.513  0.116  0.753
O  0.521  0.113  0.371
O  0.521  0.304  0.872
O  0.523  0.313  0.260
O  0.529  0.275  0.975
O  0.535  0.129  0.474
O  0.598  0.876  0.140
O  0.604  0.462  0.641
O  0.629  0.863  0.037
O  0.636  0.441  0.538
O  0.641  0.860  0.424
O  0.651  0.422  0.927
O  0.678  0.459  0.253
O  0.690  0.782  0.752
O  0.754  0.192  0.592
O  0.759  0.983  0.093
O  0.769  0.195  0.204
O  0.777  0.458  0.749
O  0.782  0.122  0.921
O  0.782  0.690  0.252
O  0.786  0.016  0.420
O  0.796  0.207  0.307
O  0.796  0.962  0.699
O  0.810  0.944  0.813
O  0.826  0.444  0.420
O  0.845  0.447  0.030
O  0.858  0.463  0.145
O  0.860  0.641  0.924
O  0.863  0.629  0.537
O  0.876  0.598  0.640
O  0.934  0.213  0.806
O  0.944  0.810  0.313
O  0.962  0.796  0.199
O  0.975  0.196  0.703
O  0.983  0.759  0.593
O  0.984  0.166  0.087

Summary:
The calculation puts the volume at 1767.0 Å³ per cell. For the energy of formation from the pure elements, the calculation gives -2.42 eV/atom.